Record 1
First-principles (PBE) data for KCuO after structural relaxation, as listed in the Materials Project database.

a b c (Å): 7.1956 7.1956 7.1956
angles (deg): 98.58 98.58 134.56
Fractional positions:
K  0.7484  0.9371  0.1887
K  0.7484  0.5596  0.8113
K  0.0629  0.2516  0.8113
K  0.4404  0.2516  0.1887
Cu  0.3891  0.6109  0.5000
Cu  0.1109  0.8891  0.5000
Cu  0.3891  0.8891  0.7782
Cu  0.1109  0.6109  0.2218
O  0.2389  0.0155  0.7766
O  0.2389  0.4622  0.2234
O  0.9845  0.7611  0.2234
O  0.5378  0.7611  0.7766

Computed properties:
Energy of formation   -1.224 eV per atom
SG   I-4m2 (119)

---

Record 2
First-principles (PBE) data for Li2MgSi5O12 after structural relaxation, as listed in the Materials Project database.

a b c (Å): 9.8542 9.8542 9.8542
angles (deg): 109.66 109.66 109.10
Fractional positions:
Li  0.7511  0.3750  0.8761
Li  0.4989  0.8750  0.1239
Li  0.1250  0.7489  0.1239
Li  0.6250  0.0011  0.8761
Li  0.9989  0.8750  0.6239
Li  0.2511  0.3750  0.3761
Li  0.6250  0.5011  0.3761
Li  0.1250  0.2489  0.6239
Mg  0.5000  0.0000  0.5000
Mg  0.7500  0.7500  0.0000
Mg  0.2500  0.2500  0.0000
Mg  0.0000  0.5000  0.5000
Si  0.7500  0.2500  0.5000
Si  0.5000  0.5000  0.0000
Si  0.9991  0.3750  0.1241
Si  0.2509  0.8750  0.8759
Si  0.1250  0.0009  0.3759
Si  0.6250  0.7491  0.6241
Si  0.0000  0.0000  0.0000
Si  0.2500  0.7500  0.5000
Si  0.7509  0.8750  0.3759
Si  0.4991  0.3750  0.6241
Si  0.6250  0.2491  0.1241
Si  0.1250  0.5009  0.8759
Si  0.3750  0.1250  0.7500
Si  0.3750  0.6250  0.2500
Si  0.8750  0.6250  0.7500
Si  0.8750  0.1250  0.2500
Si  0.8750  0.1250  0.7500
Si  0.8750  0.6250  0.2500
Si  0.3750  0.1250  0.2500
Si  0.3750  0.6250  0.7500
O  0.4484  0.5058  0.1436
O  0.3622  0.3048  0.8564
O  0.8878  0.2442  0.4426
O  0.8016  0.4452  0.5574
O  0.2598  0.0230  0.8286
O  0.0556  0.7270  0.7368
O  0.9902  0.3188  0.2632
O  0.1944  0.4312  0.1714
O  0.7719  0.7016  0.6365
O  0.4781  0.6146  0.4297
O  0.0651  0.1354  0.3635
O  0.1849  0.0484  0.5703
O  0.3016  0.7442  0.3564
O  0.3878  0.9452  0.6436
O  0.8622  0.0058  0.0574
O  0.9484  0.8048  0.9426
O  0.4902  0.2270  0.6714
O  0.6944  0.5230  0.7632
O  0.7598  0.9312  0.2368
O  0.5556  0.8188  0.3286
O  0.9781  0.5484  0.8635
O  0.2719  0.6354  0.0703
O  0.6849  0.1146  0.1365
O  0.5651  0.2016  0.9297
O  0.9516  0.5219  0.1365
O  0.8646  0.2281  0.9297
O  0.3854  0.8151  0.8635
O  0.2984  0.9349  0.0703
O  0.7558  0.1984  0.6436
O  0.5548  0.1122  0.3564
O  0.4942  0.6378  0.9426
O  0.6952  0.5516  0.0574
O  0.2730  0.0098  0.3286
O  0.9770  0.8056  0.2368
O  0.5688  0.7402  0.7632
O  0.6812  0.9444  0.6714
O  0.7984  0.7281  0.3635
O  0.8854  0.0219  0.5703
O  0.3646  0.4349  0.6365
O  0.4516  0.3151  0.4297
O  0.9942  0.0516  0.8564
O  0.1952  0.1378  0.1436
O  0.2558  0.6122  0.5574
O  0.0548  0.6984  0.4426
O  0.4770  0.2402  0.1714
O  0.7730  0.4444  0.2632
O  0.1812  0.5098  0.7368
O  0.0688  0.3056  0.8286

Computed properties:
Energy of formation   -3.039 eV per atom
SG   I4_1/acd (142)

---

Record 3
First-principles (PBE) data for PbCl2 after structural relaxation, as listed in the Materials Project database.

a b c (Å): 4.5792 7.7899 9.3557
angles (deg): 90.00 90.00 90.00
Fractional positions:
Pb  0.2500  0.2646  0.9159
Pb  0.7500  0.7354  0.0841
Pb  0.2500  0.7646  0.5841
Pb  0.7500  0.2354  0.4159
Cl  0.2500  0.4885  0.1545
Cl  0.7500  0.5115  0.8455
Cl  0.2500  0.9885  0.3455
Cl  0.7500  0.0115  0.6545
Cl  0.7500  0.6421  0.4173
Cl  0.2500  0.3579  0.5827
Cl  0.7500  0.1421  0.0827
Cl  0.2500  0.8579  0.9173

Computed properties:
Energy of formation   -1.555 eV per atom
SG   Pnma (62)

---

Record 4
First-principles (PBE) data for SrRuO3 after structural relaxation, as listed in the Materials Project database.

a b c (Å): 5.6149 5.6603 7.9285
angles (deg): 90.00 90.00 90.00
Fractional positions:
Sr  0.4760  0.4965  0.2500
Sr  0.9760  0.0035  0.2500
Sr  0.5240  0.5035  0.7500
Sr  0.0240  0.9965  0.7500
Ru  0.5000  0.0000  0.0000
Ru  0.0000  0.5000  0.5000
Ru  0.5000  0.0000  0.5000
Ru  0.0000  0.5000  0.0000
O  0.2182  0.2185  0.0322
O  0.7182  0.2815  0.4678
O  0.7818  0.7815  0.5322
O  0.2818  0.7185  0.9678
O  0.7818  0.7815  0.9678
O  0.2818  0.7185  0.5322
O  0.2182  0.2185  0.4678
O  0.7182  0.2815  0.0322
O  0.0055  0.5613  0.2500
O  0.5055  0.9387  0.2500
O  0.9945  0.4387  0.7500
O  0.4945  0.0613  0.7500

Computed properties:
Energy of formation   -2.191 eV per atom
SG   Pnma (62)

---

Record 5
First-principles (PBE) data for Na2Al2Si3H4O12 after structural relaxation, as listed in the Materials Project database.

a b c (Å): 6.6283 9.9163 9.8778
angles (deg): 83.62 70.52 70.64
Fractional positions:
Na  0.1286  0.0575  0.4389
Na  0.4322  0.4394  0.9412
Na  0.8183  0.5572  0.0609
Na  0.6242  0.9390  0.5583
Al  0.2447  0.1929  0.0741
Al  0.5674  0.6927  0.4251
Al  0.6779  0.0818  0.8063
Al  0.7354  0.5815  0.6937
Si  0.0018  0.9996  0.9965
Si  0.9994  0.4266  0.3127
Si  0.2468  0.5015  0.5040
Si  0.5631  0.9269  0.1874
Si  0.6867  0.3120  0.5751
Si  0.5110  0.8119  0.9243
H  0.1379  0.1116  0.7139
H  0.1150  0.7838  0.3854
H  0.1041  0.6109  0.7862
H  0.2780  0.2130  0.6234
H  0.5078  0.3750  0.2135
H  0.1513  0.7130  0.8782
H  0.7495  0.2834  0.1155
H  0.9723  0.8760  0.2864
O  0.0283  0.1360  0.0569
O  0.1204  0.3662  0.1497
O  0.0314  0.5421  0.6489
O  0.3685  0.0788  0.1948
O  0.1934  0.4431  0.3734
O  0.2506  0.1225  0.6209
O  0.1232  0.6217  0.8795
O  0.3319  0.6383  0.4418
O  0.4450  0.3634  0.5402
O  0.6289  0.3766  0.1237
O  0.4461  0.2073  0.9138
O  0.2347  0.8605  0.9595
O  0.5584  0.8122  0.0793
O  0.5179  0.8664  0.3504
O  0.7405  0.1444  0.6248
O  0.6108  0.7059  0.5852
O  0.6821  0.4175  0.6911
O  0.8096  0.5772  0.3049
O  0.6161  0.6443  0.8750
O  0.8889  0.3104  0.4198
O  0.8194  0.9410  0.1281
O  0.6192  0.9186  0.8083
O  0.9285  0.0410  0.8523
O  0.0030  0.8773  0.3765

Computed properties:
Energy of formation   -2.671 eV per atom
Offset from the most stable computed form   16 meV per atom
SG   P1 (1)

---

Record 6
First-principles (PBE) data for BaTiO3 after structural relaxation, as listed in the Materials Project database.

a b c (Å): 5.7979 5.7979 14.1421
angles (deg): 90.00 90.00 119.51
Fractional positions:
Ba  0.3490  0.6816  0.4038
Ba  0.6816  0.3490  0.5962
Ba  0.6510  0.3184  0.9038
Ba  0.9996  0.0004  0.2500
Ba  0.0004  0.9996  0.7500
Ba  0.3184  0.6510  0.0962
Ti  0.3581  0.6944  0.6542
Ti  0.6944  0.3581  0.3458
Ti  0.9706  0.9706  0.0000
Ti  0.3056  0.6419  0.8458
Ti  0.0294  0.0294  0.5000
Ti  0.6419  0.3056  0.1542
O  0.1661  0.8357  0.9197
O  0.8366  0.6738  0.0807
O  0.5187  0.0316  0.2462
O  0.8326  0.6647  0.4192
O  0.8357  0.1661  0.0803
O  0.1634  0.3262  0.5807
O  0.6647  0.8326  0.5808
O  0.9684  0.4813  0.2538
O  0.4798  0.5202  0.7500
O  0.1643  0.8339  0.5803
O  0.3353  0.1674  0.0808
O  0.5202  0.4798  0.2500
O  0.6738  0.8366  0.9193
O  0.8339  0.1643  0.4197
O  0.3262  0.1634  0.4193
O  0.4813  0.9684  0.7462
O  0.0316  0.5187  0.7538
O  0.1674  0.3353  0.9192

Computed properties:
Energy of formation   -3.489 eV per atom
SG   C222_1 (20)

---

Record 7
First-principles (PBE) data for BaYBr5 after structural relaxation, as listed in the Materials Project database.

a b c (Å): 12.1875 9.4849 11.3376
angles (deg): 55.69 90.00 90.00
Fractional positions:
Ba  0.1542  0.4844  0.8158
Ba  0.6542  0.5156  0.6842
Ba  0.3458  0.4844  0.3158
Ba  0.8458  0.5156  0.1842
Y  0.5016  0.8973  0.7339
Y  0.9984  0.8973  0.2339
Y  0.0016  0.1027  0.7661
Y  0.4984  0.1027  0.2661
Br  0.0293  0.7635  0.8505
Br  0.1101  0.8120  0.4725
Br  0.6470  0.9400  0.5056
Br  0.6843  0.6899  0.8790
Br  0.4118  0.6144  0.7410
Br  0.4707  0.7635  0.3505
Br  0.9118  0.3856  0.7590
Br  0.3899  0.8120  0.9725
Br  0.8530  0.9400  0.0056
Br  0.1843  0.3101  0.6210
Br  0.8157  0.6899  0.3790
Br  0.1470  0.0600  0.9944
Br  0.6101  0.1880  0.0275
Br  0.0882  0.6144  0.2410
Br  0.5293  0.2365  0.6495
Br  0.5883  0.3856  0.2590
Br  0.3157  0.3101  0.1210
Br  0.3530  0.0600  0.4944
Br  0.8899  0.1880  0.5275
Br  0.9707  0.2365  0.1495

Computed properties:
Energy of formation   -2.368 eV per atom
Offset from the most stable computed form   5 meV per atom
SG   P2_1/c (14)

---

Record 8
First-principles (PBE) data for Na13Zr7Si5P7O48 after structural relaxation, as listed in the Materials Project database.

a b c (Å): 9.3902 9.3981 18.6881
angles (deg): 58.86 58.73 58.91
Fractional positions:
Na  0.0244  0.9845  0.0087
Na  0.0494  0.3412  0.3798
Na  0.3434  0.8210  0.0771
Na  0.8393  0.1353  0.1705
Na  0.4763  0.4369  0.2898
Na  0.2483  0.8743  0.2913
Na  0.1499  0.3116  0.9238
Na  0.8895  0.5868  0.1201
Na  0.3275  0.7680  0.5343
Na  0.7606  0.0799  0.6582
Na  0.4683  0.5220  0.7531
Na  0.5512  0.2223  0.9601
Na  0.8855  0.6216  0.6216
Zr  0.3552  0.3547  0.1722
Zr  0.1458  0.1510  0.5706
Zr  0.3513  0.3528  0.6849
Zr  0.6468  0.6329  0.3396
Zr  0.8511  0.8573  0.4255
Zr  0.6535  0.6745  0.8112
Zr  0.8544  0.8575  0.9200
Si  0.0463  0.7226  0.2397
Si  0.4638  0.0395  0.3695
Si  0.0441  0.7477  0.7231
Si  0.4708  0.0407  0.8684
Si  0.7401  0.4690  0.5364
P  0.7370  0.4770  0.0148
P  0.2492  0.5447  0.4803
P  0.5635  0.9394  0.1307
P  0.9463  0.2561  0.2729
P  0.2591  0.5677  0.9647
P  0.5397  0.9678  0.6197
P  0.9531  0.2549  0.7721
O  0.1152  0.2908  0.2514
O  0.2865  0.4959  0.0552
O  0.0402  0.8841  0.1488
O  0.5187  0.1182  0.1379
O  0.0273  0.7636  0.3215
O  0.2362  0.5545  0.2236
O  0.2868  0.0885  0.4547
O  0.4500  0.2118  0.2789
O  0.5672  0.4588  0.0988
O  0.2131  0.3829  0.5008
O  0.0823  0.7133  0.4745
O  0.4009  0.9361  0.1336
O  0.6458  0.9937  0.3816
O  0.1093  0.2970  0.7560
O  0.8850  0.2994  0.0218
O  0.7814  0.6232  0.0089
O  0.4005  0.5753  0.3882
O  0.2965  0.5127  0.5571
O  0.6254  0.7743  0.2077
O  0.0668  0.9310  0.6393
O  0.4996  0.1213  0.6457
O  0.7257  0.9291  0.0421
O  0.9824  0.7729  0.8170
O  0.2362  0.5913  0.7057
O  0.7722  0.3884  0.3160
O  0.9379  0.2820  0.1880
O  0.2977  0.0050  0.9491
O  0.4673  0.8663  0.3672
O  0.9633  0.0679  0.3440
O  0.4100  0.2440  0.7976
O  0.6780  0.5188  0.4573
O  0.5842  0.4105  0.6297
O  0.2798  0.4173  0.9460
O  0.0726  0.7149  0.9733
O  0.8894  0.6426  0.2822
O  0.3782  0.9989  0.6046
O  0.6191  0.0202  0.9001
O  0.9222  0.2948  0.5337
O  0.7737  0.6374  0.5228
O  0.4017  0.6505  0.8859
O  0.5767  0.7854  0.6960
O  0.7101  0.9562  0.5370
O  0.7759  0.4147  0.7862
O  0.9914  0.2274  0.6881
O  0.5876  0.9146  0.8068
O  0.9306  0.0886  0.8565
O  0.6953  0.5447  0.9301
O  0.8998  0.7012  0.7221

Computed properties:
Energy of formation   -3.030 eV per atom
Offset from the most stable computed form   10 meV per atom
SG   P1 (1)

---

Record 9
First-principles (PBE) data for Sr2GaOsO6 after structural relaxation, as listed in the Materials Project database.

a b c (Å): 5.6028 5.6028 5.6028
angles (deg): 60.00 60.00 60.00
Fractional positions:
Sr  0.7500  0.7500  0.7500
Sr  0.2500  0.2500  0.2500
Ga  0.5000  0.5000  0.5000
Os  0.0000  0.0000  0.0000
O  0.7504  0.7504  0.2496
O  0.2496  0.2496  0.7504
O  0.7504  0.2496  0.7504
O  0.2496  0.7504  0.2496
O  0.2496  0.7504  0.7504
O  0.7504  0.2496  0.2496

Computed properties:
Energy of formation   -2.413 eV per atom
SG   Fm-3m (225)